Entry 1:
This record from Materials Project describes a relaxed HoAl8Cr4 crystal. The functional is PBE.

Values from the calculation:
The space group is No. 139.

abc: 5.063 6.788 6.788
angles: 82.01 68.10 68.10
Positions (direct):
1 Cr 0.000 0.000 0.500
2 Ho 0.000 0.000 0.000
3 Al 0.722 0.778 0.778
4 Cr 0.500 0.500 0.000
5 Al 0.000 0.335 0.665
6 Al 0.665 0.335 0.335
7 Al 0.500 0.222 0.778
8 Al 0.278 0.222 0.222
9 Al 0.000 0.665 0.335
10 Cr 0.500 0.000 0.500
11 Al 0.500 0.778 0.222
12 Cr 0.000 0.500 0.000
13 Al 0.335 0.665 0.665

Entry 2:
This record from Materials Project describes a relaxed Ho6Al43Cr4 crystal. The functional is PBE.

Values from the calculation:
The space group is No. 193.

abc: 10.920 10.920 17.471
angles: 90.00 90.00 120.00
Positions (direct):
1 Al 0.232 0.391 0.166
2 Cr 0.000 0.000 0.000
3 Al 0.768 0.159 0.166
4 Al 0.159 0.391 0.666
5 Ho 0.530 0.000 0.595
6 Al 0.000 0.845 0.884
7 Al 0.749 0.749 0.969
8 Al 0.000 0.845 0.616
9 Cr 0.000 0.730 0.750
10 Cr 0.270 0.000 0.250
11 Al 0.000 0.145 0.750
12 Ho 0.530 0.530 0.095
13 Al 0.667 0.333 0.128
14 Al 0.667 0.333 0.372
15 Ho 0.000 0.470 0.405
16 Al 0.548 0.145 0.250
17 Ho 0.000 0.530 0.905
18 Al 0.391 0.159 0.834
19 Al 0.507 0.753 0.500
20 Al 0.145 0.000 0.750
21 Al 0.247 0.753 0.000
22 Cr 0.000 0.270 0.250
23 Al 0.333 0.667 0.372
24 Al 0.333 0.667 0.872
25 Al 0.841 0.232 0.834
26 Cr 0.270 0.270 0.750
27 Al 0.841 0.609 0.334
28 Al 0.493 0.247 0.500
29 Al 0.232 0.391 0.334
30 Al 0.333 0.667 0.128
31 Al 0.391 0.232 0.166
32 Ho 0.530 0.000 0.905
33 Al 0.000 0.251 0.969
34 Al 0.768 0.609 0.834
35 Cr 0.000 0.000 0.500
36 Al 0.753 0.247 0.000
37 Al 0.753 0.247 0.500
38 Al 0.507 0.753 0.000
39 Al 0.493 0.247 0.000
40 Al 0.247 0.493 0.000
41 Al 0.000 0.251 0.531
42 Al 0.000 0.749 0.469
43 Al 0.855 0.452 0.750
44 Al 0.000 0.155 0.384
45 Al 0.000 0.749 0.031
46 Al 0.155 0.000 0.116
47 Al 0.855 0.000 0.250
48 Ho 0.470 0.000 0.405
49 Al 0.749 0.000 0.469
50 Al 0.452 0.596 0.250
51 Al 0.247 0.493 0.500
52 Al 0.855 0.404 0.250
53 Al 0.845 0.845 0.384
54 Al 0.251 0.251 0.031
55 Al 0.841 0.609 0.166
56 Al 0.391 0.232 0.334
57 Al 0.155 0.155 0.884
58 Al 0.159 0.768 0.334
59 Al 0.404 0.548 0.750
60 Al 0.145 0.596 0.750
61 Al 0.159 0.391 0.834
62 Al 0.247 0.753 0.500
63 Al 0.596 0.452 0.250
64 Cr 0.730 0.000 0.750
65 Ho 0.470 0.470 0.595
66 Al 0.251 0.000 0.969
67 Al 0.155 0.155 0.616
68 Al 0.667 0.333 0.872
69 Al 0.251 0.251 0.469
70 Al 0.855 0.855 0.750
71 Al 0.609 0.768 0.666
72 Ho 0.000 0.470 0.095
73 Al 0.845 0.845 0.116
74 Al 0.548 0.404 0.750
75 Al 0.000 0.855 0.250
76 Al 0.768 0.159 0.334
77 Al 0.749 0.749 0.531
78 Al 0.749 0.000 0.031
79 Cr 0.730 0.730 0.250
80 Ho 0.470 0.470 0.905
81 Al 0.159 0.768 0.166
82 Al 0.609 0.841 0.334
83 Al 0.404 0.855 0.250
84 Al 0.768 0.609 0.666
85 Al 0.232 0.841 0.666
86 Al 0.596 0.145 0.750
87 Al 0.609 0.768 0.834
88 Al 0.145 0.548 0.250
89 Al 0.155 0.000 0.384
90 Al 0.845 0.000 0.884
91 Al 0.232 0.841 0.834
92 Al 0.609 0.841 0.166
93 Al 0.333 0.667 0.628
94 Ho 0.000 0.530 0.595
95 Al 0.391 0.159 0.666
96 Al 0.841 0.232 0.666
97 Al 0.667 0.333 0.628
98 Al 0.251 0.000 0.531
99 Al 0.753 0.507 0.500
100 Al 0.845 0.000 0.616
101 Ho 0.470 0.000 0.095
102 Al 0.145 0.145 0.250
103 Ho 0.530 0.530 0.405
104 Al 0.000 0.155 0.116
105 Al 0.452 0.855 0.750
106 Al 0.753 0.507 0.000

Entry 3:
This record from Materials Project describes a relaxed LaAl20Cr2 crystal. The functional is PBE.

Values from the calculation:
The space group is No. 227.

abc: 10.269 10.269 10.269
angles: 60.00 60.00 60.00
Positions (direct):
1 Al 0.125 0.625 0.625
2 Cr 0.125 0.125 0.125
3 Al 0.864 0.864 0.136
4 Al 0.953 0.953 0.412
5 Al 0.864 0.136 0.864
6 Al 0.136 0.136 0.864
7 Al 0.412 0.953 0.953
8 Al 0.136 0.864 0.136
9 Al 0.953 0.953 0.682
10 Al 0.568 0.838 0.297
11 Al 0.682 0.953 0.412
12 Al 0.682 0.953 0.953
13 Al 0.568 0.297 0.838
14 Al 0.953 0.682 0.412
15 Al 0.838 0.297 0.568
16 Al 0.386 0.114 0.114
17 Al 0.297 0.568 0.838
18 Al 0.386 0.114 0.386
19 Al 0.838 0.297 0.297
20 Al 0.412 0.682 0.953
21 Al 0.625 0.625 0.125
22 Al 0.114 0.386 0.386
23 Al 0.136 0.864 0.864
24 La 0.500 0.500 0.500
25 Al 0.625 0.625 0.625
26 Al 0.114 0.114 0.386
27 Al 0.297 0.838 0.297
28 Cr 0.125 0.625 0.125
29 Al 0.953 0.412 0.682
30 Al 0.625 0.125 0.625
31 Al 0.297 0.838 0.568
32 Al 0.953 0.682 0.953
33 La 0.750 0.750 0.750
34 Al 0.838 0.568 0.297
35 Al 0.568 0.297 0.297
36 Cr 0.125 0.125 0.625
37 Al 0.682 0.412 0.953
38 Al 0.297 0.297 0.838
39 Al 0.953 0.412 0.953
40 Al 0.386 0.386 0.114
41 Al 0.864 0.136 0.136
42 Cr 0.625 0.125 0.125
43 Al 0.114 0.386 0.114
44 Al 0.297 0.297 0.568
45 Al 0.297 0.568 0.297
46 Al 0.412 0.953 0.682

Entry 4:
This record from Materials Project describes a relaxed LaAl8Cr4 crystal. The functional is PBE.

Values from the calculation:
The space group is No. 139.

abc: 5.060 6.897 6.897
angles: 82.27 68.48 68.48
Positions (direct):
1 Cr 0.000 0.000 0.500
2 Cr 0.000 0.500 0.000
3 Al 0.272 0.228 0.228
4 Cr 0.500 0.500 0.000
5 Al 0.657 0.343 0.343
6 Al 0.728 0.772 0.772
7 La 0.000 0.000 0.000
8 Al 0.500 0.772 0.228
9 Al 0.000 0.657 0.343
10 Al 0.500 0.228 0.772
11 Al 0.343 0.657 0.657
12 Al 0.000 0.343 0.657
13 Cr 0.500 0.000 0.500

Entry 5:
This record from Materials Project describes a relaxed LuAl8Cr4 crystal. The functional is PBE.

Values from the calculation:
The space group is No. 139.

abc: 5.065 6.759 6.759
angles: 81.93 67.99 67.99
Positions (direct):
1 Al 0.665 0.335 0.335
2 Cr 0.500 0.500 0.000
3 Cr 0.000 0.000 0.500
4 Cr 0.500 0.000 0.500
5 Al 0.000 0.335 0.665
6 Al 0.500 0.779 0.221
7 Lu 0.000 0.000 0.000
8 Cr 0.000 0.500 0.000
9 Al 0.279 0.221 0.221
10 Al 0.335 0.665 0.665
11 Al 0.000 0.665 0.335
12 Al 0.500 0.221 0.779
13 Al 0.721 0.779 0.779

Entry 6:
This record from Materials Project describes a relaxed Mg14AlCr crystal. The functional is PBE.

Values from the calculation:
The space group is No. 187. The excess energy over the best structure of this formula in the dataset is 4 meV per atom.

abc: 6.259 6.259 10.282
angles: 90.00 90.00 120.00
Positions (direct):
1 Mg 0.332 0.168 0.375
2 Mg 0.833 0.667 0.375
3 Mg 0.167 0.833 0.625
4 Mg 0.667 0.333 0.625
5 Mg 0.332 0.168 0.875
6 Mg 0.332 0.663 0.375
7 Mg 0.833 0.667 0.875
8 Al 0.167 0.333 0.125
9 Mg 0.667 0.833 0.625
10 Cr 0.167 0.333 0.625
11 Mg 0.667 0.833 0.125
12 Mg 0.837 0.168 0.375
13 Mg 0.667 0.334 0.125
14 Mg 0.332 0.663 0.875
15 Mg 0.166 0.833 0.125
16 Mg 0.837 0.168 0.875

Entry 7:
This record from Materials Project describes a relaxed Mg6AlCr crystal. The functional is PBE.

Values from the calculation:
The excess energy over the best structure of this formula in the dataset is 0 meV per atom.

abc: 4.918 6.241 10.711
angles: 90.00 90.00 90.00
Positions (direct):
1 Mg 0.500 0.746 0.415
2 Mg 0.000 0.244 0.586
3 Mg 0.000 0.000 0.333
4 Mg 0.500 0.754 0.915
5 Mg 0.500 0.000 0.166
6 Cr 0.500 0.000 0.672
7 Al 0.000 0.500 0.327
8 Mg 0.500 0.246 0.915
9 Cr 0.500 0.500 0.172
10 Mg 0.000 0.744 0.086
11 Mg 0.000 0.756 0.586
12 Mg 0.500 0.500 0.666
13 Al 0.000 0.000 0.827
14 Mg 0.000 0.500 0.833
15 Mg 0.500 0.254 0.415
16 Mg 0.000 0.256 0.086

Entry 8:
This record from Materials Project describes a relaxed Mg3Al18Cr2 crystal. The functional is PBE.

Values from the calculation:
The space group is No. 227.

abc: 10.243 10.243 10.243
angles: 60.00 60.00 60.00
Positions (direct):
1 Al 0.800 0.800 0.067
2 Al 0.639 0.361 0.361
3 Cr 0.625 0.125 0.625
4 Al 0.889 0.611 0.611
5 Mg 0.000 0.000 0.000
6 Al 0.183 0.450 0.450
7 Al 0.361 0.639 0.639
8 Al 0.639 0.361 0.639
9 Al 0.800 0.067 0.334
10 Mg 0.125 0.125 0.625
11 Al 0.611 0.611 0.889
12 Al 0.611 0.889 0.611
13 Al 0.639 0.639 0.361
14 Al 0.450 0.183 0.450
15 Mg 0.625 0.125 0.125
16 Al 0.611 0.889 0.889
17 Al 0.889 0.611 0.889
18 Mg 0.125 0.125 0.125
19 Al 0.800 0.067 0.800
20 Al 0.916 0.183 0.450
21 Al 0.067 0.800 0.800
22 Al 0.361 0.361 0.639
23 Al 0.334 0.800 0.067
24 Al 0.361 0.639 0.361
25 Al 0.334 0.067 0.800
26 Cr 0.625 0.625 0.625
27 Al 0.450 0.183 0.916
28 Al 0.800 0.334 0.067
29 Al 0.334 0.800 0.800
30 Al 0.800 0.334 0.800
31 Al 0.067 0.334 0.800
32 Al 0.450 0.916 0.450
33 Al 0.067 0.800 0.334
34 Al 0.916 0.450 0.183
35 Al 0.450 0.916 0.183
36 Al 0.183 0.450 0.916
37 Cr 0.125 0.625 0.625
38 Al 0.800 0.800 0.334
39 Mg 0.125 0.625 0.125
40 Al 0.916 0.450 0.450
41 Cr 0.625 0.625 0.125
42 Al 0.889 0.889 0.611
43 Al 0.450 0.450 0.183
44 Al 0.183 0.916 0.450
45 Mg 0.250 0.250 0.250
46 Al 0.450 0.450 0.916

Entry 9:
This record from Materials Project describes a relaxed Mg6AlCr crystal. The functional is PBE.

Values from the calculation:
The excess energy over the best structure of this formula in the dataset is 7 meV per atom.

abc: 5.001 6.122 10.779
angles: 90.00 90.00 90.00
Positions (direct):
1 Cr 0.500 0.000 0.667
2 Cr 0.500 0.500 0.167
3 Mg 0.500 0.251 0.417
4 Mg 0.000 0.000 0.830
5 Mg 0.000 0.248 0.586
6 Al 0.500 0.500 0.667
7 Mg 0.500 0.249 0.917
8 Mg 0.000 0.500 0.330
9 Mg 0.000 0.252 0.086
10 Mg 0.000 0.752 0.586
11 Mg 0.000 0.000 0.331
12 Al 0.500 0.000 0.167
13 Mg 0.500 0.751 0.917
14 Mg 0.000 0.748 0.086
15 Mg 0.000 0.500 0.831
16 Mg 0.500 0.749 0.417

Entry 10:
This record from Materials Project describes a relaxed Mg14AlCr crystal. The functional is PBE.

Values from the calculation:
The space group is No. 38. The excess energy over the best structure of this formula in the dataset is 0 meV per atom.

abc: 6.266 6.256 10.287
angles: 90.00 90.00 119.95
Positions (direct):
1 Mg 0.329 0.665 0.367
2 Mg 0.669 0.335 0.125
3 Mg 0.837 0.169 0.878
4 Cr 0.165 0.833 0.125
5 Al 0.165 0.333 0.125
6 Mg 0.168 0.834 0.625
7 Mg 0.666 0.333 0.625
8 Mg 0.329 0.164 0.883
9 Mg 0.329 0.164 0.367
10 Mg 0.837 0.169 0.372
11 Mg 0.666 0.833 0.625
12 Mg 0.837 0.669 0.372
13 Mg 0.669 0.833 0.125
14 Mg 0.167 0.334 0.625
15 Mg 0.837 0.669 0.878
16 Mg 0.329 0.665 0.883

Entry 11:
This record from Materials Project describes a relaxed MnAl2Cr3 crystal. The functional is PBE.

Values from the calculation:
The space group is No. 99.

abc: 2.917 2.917 8.714
angles: 90.00 90.00 90.00
Positions (direct):
1 Cr 0.000 0.000 0.318
2 Cr 0.000 0.000 0.685
3 Cr 0.500 0.500 0.816
4 Al 0.500 0.500 0.499
5 Al 0.000 0.000 0.002
6 Mn 0.500 0.500 0.179

Entry 12:
This record from Materials Project describes a relaxed Al2CrN3 crystal. The functional is PBE.

Values from the calculation:
The space group is No. 36.

abc: 5.480 5.557 5.028
angles: 90.00 90.00 120.47
Positions (direct):
1 N 0.656 0.988 0.869
2 N 0.344 0.012 0.369
3 N 0.656 0.668 0.369
4 Al 0.339 0.331 0.492
5 N 0.000 0.319 0.376
6 Al 0.339 0.008 0.992
7 Cr 0.000 0.656 0.489
8 Al 0.661 0.992 0.492
9 N 0.344 0.332 0.869
10 Cr 0.000 0.344 0.989
11 N 0.000 0.681 0.876
12 Al 0.661 0.669 0.992

Entry 13:
This record from Materials Project describes a relaxed NbAlCr4 crystal. The functional is PBE.

Values from the calculation:
The space group is No. 164.

abc: 4.901 4.901 7.802
angles: 90.00 90.00 120.00
Positions (direct):
1 Cr 0.000 0.000 0.000
2 Cr 0.342 0.171 0.256
3 Cr 0.829 0.658 0.256
4 Nb 0.333 0.667 0.062
5 Al 0.333 0.667 0.436
6 Cr 0.171 0.829 0.744
7 Al 0.667 0.333 0.564
8 Cr 0.829 0.171 0.256
9 Cr 0.658 0.829 0.744
10 Cr 0.171 0.342 0.744
11 Cr 0.000 0.000 0.500
12 Nb 0.667 0.333 0.938

Number 1: calculated formation energy -0.2123 eV/atom. Number 2: calculated formation energy -0.2679 eV/atom. Number 3: calculated formation energy -0.1566 eV/atom. Number 4: calculated formation energy -0.1822 eV/atom. Number 5: calculated formation energy -0.2086 eV/atom. Number 6: calculated formation energy 0.0715 eV/atom. Number 7: calculated formation energy 0.1227 eV/atom. Number 8: calculated formation energy -0.0994 eV/atom. Number 9: calculated formation energy 0.1299 eV/atom. Number 10: calculated formation energy 0.0674 eV/atom. Number 11: calculated formation energy -0.1633 eV/atom. Number 12: calculated formation energy -1.0683 eV/atom. Number 13: calculated formation energy 0.0015 eV/atom.